Entry 1:
Density functional theory data (meta-GGA r2SCAN) for Na3GdBr6 after structural relaxation. Values from VASP.

Structure (Quantum ESPRESSO input):
```
&SYSTEM
  ibrav = 0, nat = 20, ntyp = 3
/
ATOMIC_SPECIES
Na 22.99 Na.upf
Gd 157.25 Gd.upf
Br 79.90 Br.upf
ATOMIC_POSITIONS crystal
Na 0.000 0.000 0.000
Na 0.000 0.500 0.500
Na 0.206 0.085 0.736
Na 0.206 0.415 0.236
Na 0.794 0.585 0.764
Na 0.794 0.915 0.264
Gd 0.500 0.000 0.500
Gd 0.500 0.500 0.000
Br 0.112 0.180 0.434
Br 0.112 0.320 0.934
Br 0.249 0.690 0.418
Br 0.249 0.810 0.918
Br 0.405 0.066 0.258
Br 0.405 0.434 0.758
Br 0.595 0.566 0.242
Br 0.595 0.934 0.742
Br 0.751 0.190 0.082
Br 0.751 0.310 0.582
Br 0.888 0.680 0.066
Br 0.888 0.820 0.566
CELL_PARAMETERS angstrom
7.200 0.000 0.000
0.000 7.703 0.000
-6.972 0.000 10.773
```

Results
As for the energy above the most stable polymorph in this dataset: 11 meV per atom. For the formation energy, the calculation gives -1927 meV per atom.

Entry 2:
Density functional theory data (meta-GGA r2SCAN) for GdSBr after structural relaxation. Values from VASP.

Structure (Quantum ESPRESSO input):
```
&SYSTEM
  ibrav = 0, nat = 12, ntyp = 3
/
ATOMIC_SPECIES
Gd 157.25 Gd.upf
S 32.06 S.upf
Br 79.90 Br.upf
ATOMIC_POSITIONS crystal
Gd 0.180 0.036 0.291
Gd 0.180 0.464 0.791
Gd 0.820 0.536 0.209
Gd 0.820 0.964 0.709
S 0.055 0.740 0.508
S 0.055 0.760 0.008
S 0.945 0.240 0.992
S 0.945 0.260 0.492
Br 0.417 0.117 0.711
Br 0.417 0.383 0.211
Br 0.583 0.617 0.789
Br 0.583 0.883 0.289
CELL_PARAMETERS angstrom
6.850 0.000 0.000
0.000 6.948 0.000
-1.116 0.000 6.732
```

Results
For the formation energy, the calculation gives -2259 meV per atom.

Please write out number 2 again, unchanged.
Density functional theory data (meta-GGA r2SCAN) for GdSBr after structural relaxation. Values from VASP.

Structure (Quantum ESPRESSO input):
```
&SYSTEM
  ibrav = 0, nat = 12, ntyp = 3
/
ATOMIC_SPECIES
Gd 157.25 Gd.upf
S 32.06 S.upf
Br 79.90 Br.upf
ATOMIC_POSITIONS crystal
Gd 0.180 0.036 0.291
Gd 0.180 0.464 0.791
Gd 0.820 0.536 0.209
Gd 0.820 0.964 0.709
S 0.055 0.740 0.508
S 0.055 0.760 0.008
S 0.945 0.240 0.992
S 0.945 0.260 0.492
Br 0.417 0.117 0.711
Br 0.417 0.383 0.211
Br 0.583 0.617 0.789
Br 0.583 0.883 0.289
CELL_PARAMETERS angstrom
6.850 0.000 0.000
0.000 6.948 0.000
-1.116 0.000 6.732
```

Results
For the formation energy, the calculation gives -2259 meV per atom.